Record 1
The following is a DFT calculation (PBE with a Hubbard U) of Na7W9O27 after structural relaxation.

Cell lengths 6.865, 8.836, 9.702 Å; angles 100.84, 90.04, 104.67 degrees
Atoms (fractional coordinates):
O (0.440, 0.333, 0.718)
O (0.829, 0.507, 0.168)
O (0.499, 0.498, 0.497)
O (0.285, 0.835, 0.890)
O (0.170, 0.504, 0.339)
O (0.895, 0.677, 0.942)
O (0.062, 0.168, 0.782)
O (0.939, 0.837, 0.722)
O (0.549, 0.661, 0.281)
O (0.720, 0.164, 0.611)
O (0.110, 0.337, 0.063)
O (0.062, 0.170, 0.277)
O (0.489, 0.497, 0.002)
O (0.335, 0.997, 0.160)
O (0.958, 0.834, 0.221)
O (0.717, 0.161, 0.108)
O (0.005, 0.000, 0.504)
O (0.276, 0.827, 0.393)
O (0.661, 0.992, 0.837)
O (0.781, 0.342, 0.384)
O (0.612, 0.828, 0.053)
O (0.174, 0.504, 0.831)
O (0.386, 0.161, 0.946)
O (0.603, 0.826, 0.558)
O (0.384, 0.163, 0.442)
O (0.836, 0.503, 0.660)
O (0.223, 0.668, 0.612)
W (0.613, 0.332, 0.556)
W (0.943, 0.331, 0.221)
W (0.390, 0.669, 0.443)
W (0.500, 0.004, 0.001)
W (0.834, 0.001, 0.667)
W (0.279, 0.336, 0.887)
W (0.165, 0.002, 0.335)
W (0.723, 0.667, 0.111)
W (0.053, 0.664, 0.779)
Na (0.555, 0.665, 0.779)
Na (0.000, 0.002, 0.002)
Na (0.222, 0.667, 0.110)
Na (0.889, 0.668, 0.444)
Na (0.444, 0.331, 0.221)
Na (0.334, 0.003, 0.667)
Na (0.110, 0.331, 0.555)

Summary:
Size of the total moment: 0.16 μB per atom
Energy relative to the lowest polymorph listed for this composition: 0 meV per atom
SG: P1 (1)
Total DFT energy (no corrections): -6.859 eV/atom
Formation energy: -2.185 eV/atom

=====

Record 2
The following is a DFT calculation (PBE with a Hubbard U) of Na3WO4 after structural relaxation.

Cell lengths 5.671, 6.224, 7.498 Å; angles 90.00, 90.00, 90.00 degrees
Atoms (fractional coordinates):
W (0.013, 0.674, 0.000)
W (0.513, 0.326, 0.500)
O (0.400, 0.612, 0.500)
O (0.900, 0.388, 0.000)
O (0.920, 0.802, 0.782)
O (0.845, 0.305, 0.500)
O (0.420, 0.198, 0.718)
O (0.920, 0.802, 0.218)
O (0.420, 0.198, 0.282)
O (0.345, 0.695, 0.000)
Na (0.501, 0.831, 0.745)
Na (0.001, 0.169, 0.245)
Na (0.501, 0.831, 0.255)
Na (0.499, 0.342, 0.000)
Na (0.001, 0.169, 0.755)
Na (0.999, 0.658, 0.500)

Summary:
Size of the total moment: 0.12 μB per atom
SG: Pmn2_1 (31)
Total DFT energy (no corrections): -5.684 eV/atom
Formation energy: -1.993 eV/atom

=====

Record 3
The following is a DFT calculation (PBE with a Hubbard U) of Na3W4O12 after structural relaxation.

Cell lengths 6.832, 6.832, 11.151 Å; angles 89.90, 89.90, 70.20 degrees
Atoms (fractional coordinates):
Na (0.501, 0.501, 0.998)
Na (0.500, 0.500, 0.502)
Na (0.751, 0.751, 0.252)
Na (0.249, 0.249, 0.748)
Na (0.249, 0.249, 0.252)
Na (0.999, 0.999, 0.998)
W (0.501, 0.999, 0.998)
W (0.999, 0.501, 0.998)
W (0.999, 0.501, 0.502)
W (0.249, 0.751, 0.748)
W (0.751, 0.249, 0.748)
W (0.249, 0.751, 0.252)
W (0.501, 0.999, 0.502)
W (0.751, 0.249, 0.252)
O (0.507, 0.507, 0.751)
O (0.901, 0.365, 0.873)
O (0.011, 0.011, 0.250)
O (0.365, 0.901, 0.873)
O (0.616, 0.152, 0.883)
O (0.117, 0.641, 0.380)
O (0.252, 0.252, 0.487)
O (0.749, 0.749, 0.989)
O (0.849, 0.383, 0.119)
O (0.402, 0.869, 0.370)
O (0.152, 0.616, 0.883)
O (0.137, 0.598, 0.627)
O (0.630, 0.099, 0.130)
O (0.995, 0.995, 0.750)
O (0.869, 0.402, 0.370)
O (0.487, 0.487, 0.248)
O (0.598, 0.137, 0.627)
O (0.884, 0.358, 0.617)
O (0.748, 0.748, 0.510)
O (0.250, 0.250, 0.015)
O (0.383, 0.849, 0.119)
O (0.358, 0.884, 0.617)
O (0.641, 0.117, 0.380)
O (0.099, 0.630, 0.130)

Summary:
Size of the total moment: 0.16 μB per atom
Energy relative to the lowest polymorph listed for this composition: 0 meV per atom
SG: Cm (8)
Total DFT energy (no corrections): -6.857 eV/atom
Formation energy: -2.164 eV/atom

=====

Record 4
The following is a DFT calculation (PBE with a Hubbard U) of Na2WO6 after structural relaxation.

Cell lengths 10.534, 8.976, 11.771 Å; angles 90.00, 90.00, 90.00 degrees
Atoms (fractional coordinates):
O (0.339, 0.091, 0.551)
O (0.207, 0.344, 0.454)
O (0.162, 0.784, 0.134)
O (0.161, 0.591, 0.551)
O (0.161, 0.909, 0.051)
O (0.339, 0.409, 0.051)
O (0.207, 0.156, 0.954)
O (0.688, 0.970, 0.786)
O (0.188, 0.970, 0.714)
O (0.707, 0.156, 0.546)
O (0.338, 0.284, 0.134)
O (0.036, 0.483, 0.961)
O (0.436, 0.678, 0.174)
O (0.661, 0.591, 0.949)
O (0.564, 0.178, 0.326)
O (0.839, 0.409, 0.449)
O (0.464, 0.983, 0.961)
O (0.661, 0.909, 0.449)
O (0.064, 0.322, 0.674)
O (0.188, 0.530, 0.214)
O (0.936, 0.822, 0.826)
O (0.036, 0.017, 0.461)
O (0.838, 0.284, 0.366)
O (0.338, 0.216, 0.634)
O (0.162, 0.716, 0.634)
O (0.564, 0.322, 0.826)
O (0.536, 0.483, 0.539)
O (0.064, 0.178, 0.174)
O (0.812, 0.030, 0.286)
O (0.839, 0.091, 0.949)
O (0.812, 0.470, 0.786)
O (0.662, 0.716, 0.866)
O (0.312, 0.030, 0.214)
O (0.293, 0.656, 0.954)
O (0.312, 0.470, 0.714)
O (0.536, 0.017, 0.039)
O (0.688, 0.530, 0.286)
O (0.707, 0.344, 0.046)
O (0.464, 0.517, 0.461)
O (0.436, 0.822, 0.674)
O (0.964, 0.983, 0.539)
O (0.793, 0.656, 0.546)
O (0.936, 0.678, 0.326)
O (0.838, 0.216, 0.866)
O (0.964, 0.517, 0.039)
O (0.293, 0.844, 0.454)
O (0.662, 0.784, 0.366)
O (0.793, 0.844, 0.046)
Na (0.552, 0.363, 0.187)
Na (0.948, 0.637, 0.687)
Na (0.448, 0.863, 0.313)
Na (0.654, 0.693, 0.135)
Na (0.654, 0.807, 0.635)
Na (0.052, 0.363, 0.313)
Na (0.346, 0.307, 0.865)
Na (0.552, 0.137, 0.687)
Na (0.154, 0.693, 0.365)
Na (0.052, 0.137, 0.813)
Na (0.448, 0.637, 0.813)
Na (0.948, 0.863, 0.187)
Na (0.846, 0.307, 0.635)
Na (0.154, 0.807, 0.865)
Na (0.346, 0.193, 0.365)
Na (0.846, 0.193, 0.135)
W (0.709, 0.385, 0.893)
W (0.291, 0.885, 0.607)
W (0.709, 0.115, 0.393)
W (0.291, 0.615, 0.107)
W (0.791, 0.885, 0.893)
W (0.209, 0.385, 0.607)
W (0.209, 0.115, 0.107)
W (0.791, 0.615, 0.393)

Summary:
Size of the total moment: 0.11 μB per atom
Energy relative to the lowest polymorph listed for this composition: 37 meV per atom
SG: Pbca (61)
Total DFT energy (no corrections): -5.819 eV/atom
Formation energy: -1.387 eV/atom

=====

Record 5
The following is a DFT calculation (PBE with a Hubbard U) of Na9W13O39 after structural relaxation.

Cell lengths 11.852, 11.852, 13.107 Å; angles 72.47, 72.47, 27.18 degrees
Atoms (fractional coordinates):
Na (0.654, 0.654, 0.961)
Na (0.884, 0.884, 0.655)
Na (0.038, 0.038, 0.115)
Na (0.192, 0.192, 0.579)
Na (0.962, 0.962, 0.885)
Na (0.116, 0.116, 0.345)
Na (0.346, 0.346, 0.039)
Na (0.500, 0.500, 0.500)
Na (0.808, 0.808, 0.421)
O (0.537, 0.042, 0.614)
O (0.272, 0.773, 0.308)
O (0.415, 0.927, 0.772)
O (0.847, 0.847, 0.035)
O (0.183, 0.700, 0.077)
O (0.927, 0.415, 0.772)
O (0.700, 0.183, 0.077)
O (0.463, 0.958, 0.386)
O (0.692, 0.692, 0.571)
O (0.300, 0.817, 0.923)
O (0.585, 0.073, 0.228)
O (0.817, 0.300, 0.923)
O (0.153, 0.153, 0.965)
O (0.924, 0.924, 0.272)
O (0.848, 0.347, 0.531)
O (0.073, 0.585, 0.228)
O (0.958, 0.463, 0.386)
O (0.653, 0.152, 0.469)
O (0.000, 0.500, 0.000)
O (0.773, 0.272, 0.308)
O (0.500, 0.000, 0.000)
O (0.885, 0.383, 0.153)
O (0.308, 0.308, 0.429)
O (0.383, 0.885, 0.153)
O (0.229, 0.229, 0.187)
O (0.617, 0.115, 0.847)
O (0.115, 0.617, 0.847)
O (0.728, 0.227, 0.692)
O (0.042, 0.537, 0.614)
O (0.000, 0.000, 0.500)
O (0.076, 0.076, 0.728)
O (0.385, 0.385, 0.654)
O (0.541, 0.541, 0.119)
O (0.347, 0.848, 0.531)
O (0.152, 0.653, 0.469)
O (0.615, 0.615, 0.346)
O (0.227, 0.728, 0.692)
O (0.459, 0.459, 0.881)
O (0.771, 0.771, 0.813)
W (0.423, 0.423, 0.770)
W (0.730, 0.730, 0.695)
W (0.345, 0.345, 0.538)
W (0.116, 0.116, 0.847)
W (0.500, 0.500, 0.000)
W (0.039, 0.039, 0.617)
W (0.961, 0.961, 0.383)
W (0.806, 0.806, 0.923)
W (0.577, 0.577, 0.230)
W (0.884, 0.884, 0.153)
W (0.655, 0.655, 0.462)
W (0.270, 0.270, 0.305)
W (0.194, 0.194, 0.077)

Summary:
Size of the total moment: 0.15 μB per atom
Energy relative to the lowest polymorph listed for this composition: 0 meV per atom
SG: C2/m (12)
Total DFT energy (no corrections): -6.912 eV/atom
Formation energy: -2.177 eV/atom

=====

Record 6
The following is a DFT calculation (PBE with a Hubbard U) of Na5W6O18 after structural relaxation.

Cell lengths 6.837, 6.837, 16.878 Å; angles 90.00, 90.00, 109.63 degrees
Atoms (fractional coordinates):
Na (0.375, 0.625, 0.916)
Na (0.875, 0.125, 0.250)
Na (0.875, 0.125, 0.916)
Na (0.375, 0.625, 0.584)
Na (0.625, 0.375, 0.416)
Na (0.125, 0.875, 0.416)
Na (0.125, 0.875, 0.750)
Na (0.625, 0.375, 0.084)
Na (0.125, 0.875, 0.084)
Na (0.875, 0.125, 0.584)
W (0.624, 0.874, 0.085)
W (0.874, 0.624, 0.915)
W (0.376, 0.126, 0.915)
W (0.375, 0.125, 0.250)
W (0.125, 0.375, 0.750)
W (0.126, 0.376, 0.415)
W (0.624, 0.874, 0.415)
W (0.376, 0.126, 0.585)
W (0.875, 0.625, 0.250)
W (0.874, 0.624, 0.585)
W (0.126, 0.376, 0.085)
W (0.625, 0.875, 0.750)
O (0.625, 0.375, 0.918)
O (0.250, 0.250, 0.500)
O (0.247, 0.248, 0.164)
O (0.753, 0.752, 0.836)
O (0.752, 0.753, 0.336)
O (0.500, 0.000, 0.000)
O (0.497, 0.998, 0.836)
O (0.125, 0.875, 0.916)
O (0.372, 0.628, 0.750)
O (0.625, 0.375, 0.582)
O (0.998, 0.497, 0.164)
O (0.875, 0.125, 0.084)
O (0.122, 0.878, 0.250)
O (0.247, 0.248, 0.336)
O (0.875, 0.125, 0.416)
O (0.002, 0.503, 0.836)
O (0.753, 0.752, 0.664)
O (0.000, 0.500, 0.000)
O (0.750, 0.750, 0.500)
O (0.998, 0.497, 0.336)
O (0.250, 0.250, 0.000)
O (0.497, 0.998, 0.664)
O (0.248, 0.247, 0.664)
O (0.002, 0.503, 0.664)
O (0.628, 0.372, 0.250)
O (0.125, 0.875, 0.584)
O (0.500, 0.000, 0.500)
O (0.375, 0.625, 0.082)
O (0.750, 0.750, 0.000)
O (0.000, 0.500, 0.500)
O (0.248, 0.247, 0.836)
O (0.503, 0.002, 0.336)
O (0.503, 0.002, 0.164)
O (0.878, 0.122, 0.750)
O (0.375, 0.625, 0.418)
O (0.752, 0.753, 0.164)

Summary:
Size of the total moment: 0.17 μB per atom
SG: Cmcm (63)
Total DFT energy (no corrections): -6.791 eV/atom
Formation energy: -2.156 eV/atom

=====

> What is the size of the total moment in the third record?

0.16 μB per atom

=====

Copy entry 6 word for word.
The following is a DFT calculation (PBE with a Hubbard U) of Na5W6O18 after structural relaxation.

Cell lengths 6.837, 6.837, 16.878 Å; angles 90.00, 90.00, 109.63 degrees
Atoms (fractional coordinates):
Na (0.375, 0.625, 0.916)
Na (0.875, 0.125, 0.250)
Na (0.875, 0.125, 0.916)
Na (0.375, 0.625, 0.584)
Na (0.625, 0.375, 0.416)
Na (0.125, 0.875, 0.416)
Na (0.125, 0.875, 0.750)
Na (0.625, 0.375, 0.084)
Na (0.125, 0.875, 0.084)
Na (0.875, 0.125, 0.584)
W (0.624, 0.874, 0.085)
W (0.874, 0.624, 0.915)
W (0.376, 0.126, 0.915)
W (0.375, 0.125, 0.250)
W (0.125, 0.375, 0.750)
W (0.126, 0.376, 0.415)
W (0.624, 0.874, 0.415)
W (0.376, 0.126, 0.585)
W (0.875, 0.625, 0.250)
W (0.874, 0.624, 0.585)
W (0.126, 0.376, 0.085)
W (0.625, 0.875, 0.750)
O (0.625, 0.375, 0.918)
O (0.250, 0.250, 0.500)
O (0.247, 0.248, 0.164)
O (0.753, 0.752, 0.836)
O (0.752, 0.753, 0.336)
O (0.500, 0.000, 0.000)
O (0.497, 0.998, 0.836)
O (0.125, 0.875, 0.916)
O (0.372, 0.628, 0.750)
O (0.625, 0.375, 0.582)
O (0.998, 0.497, 0.164)
O (0.875, 0.125, 0.084)
O (0.122, 0.878, 0.250)
O (0.247, 0.248, 0.336)
O (0.875, 0.125, 0.416)
O (0.002, 0.503, 0.836)
O (0.753, 0.752, 0.664)
O (0.000, 0.500, 0.000)
O (0.750, 0.750, 0.500)
O (0.998, 0.497, 0.336)
O (0.250, 0.250, 0.000)
O (0.497, 0.998, 0.664)
O (0.248, 0.247, 0.664)
O (0.002, 0.503, 0.664)
O (0.628, 0.372, 0.250)
O (0.125, 0.875, 0.584)
O (0.500, 0.000, 0.500)
O (0.375, 0.625, 0.082)
O (0.750, 0.750, 0.000)
O (0.000, 0.500, 0.500)
O (0.248, 0.247, 0.836)
O (0.503, 0.002, 0.336)
O (0.503, 0.002, 0.164)
O (0.878, 0.122, 0.750)
O (0.375, 0.625, 0.418)
O (0.752, 0.753, 0.164)

Summary:
Size of the total moment: 0.17 μB per atom
SG: Cmcm (63)
Total DFT energy (no corrections): -6.791 eV/atom
Formation energy: -2.156 eV/atom

=====

> Among the records above, which one has the highest formation energy?

Na2WO6

=====

> What is the size of the total moment in the second record?

0.12 μB per atom